Record 1
The following is a DFT calculation (PBE+U) of a geometry-optimized MgV4SnO12 structure.

a b c (Å): 6.9474 6.9474 5.9379
angles (deg): 74.04 105.96 95.04
Closest atoms and distances in Å follow each position.
Positions (direct):
O  0.9066  0.6235  0.2116  1 V 1.73
O  0.1915  0.9573  0.1416  1 V 1.76
O  0.0414  0.8134  0.6158  1 V 1.88, 1 Sn 2.05
O  0.3596  0.6411  0.0519  2 V 1.74-1.88
Sn  0.9156  0.9156  0.2500  6 O 2.05-2.16
V  0.2132  0.5923  0.7550  3 O 1.68-1.88
O  0.6367  0.3716  0.9649  2 V 1.75-1.88
V  0.3919  0.7888  0.2539  4 O 1.73-1.76
O  0.6235  0.9066  0.2884  1 V 1.73
V  0.7888  0.3919  0.2461  4 O 1.73-1.76
O  0.3716  0.6367  0.5351  2 V 1.75-1.88
O  0.3745  0.0851  0.7300  1 V 1.68
O  0.6411  0.3596  0.4481  2 V 1.74-1.88
O  0.0851  0.3745  0.7700  1 V 1.68
O  0.9573  0.1915  0.3584  1 V 1.76
O  0.8134  0.0414  0.8842  1 V 1.88, 1 Sn 2.05
V  0.5923  0.2132  0.7450  3 O 1.68-1.88
Mg  0.0774  0.0774  0.7500  6 O 2.09-2.18

## Properties
Offset from the most stable computed form   9 meV/atom
M_tot   0.06 μB/cell
Symmetry   No. 5
E   -7.1112 eV/atom
ρ   3.377 Mg/m³
Formation enthalpy at 0 K   -2.318 eV per atom
Calculated volume   14.72 Å³/atom



Record 2
The following is a DFT calculation (PBE+U) of a geometry-optimized HoFe4Cu3O12 structure.

a b c (Å): 6.4607 6.4607 6.4607
angles (deg): 109.47 109.47 109.47
Closest atoms and distances in Å follow each position.
Positions (direct):
Cu  0.5000  0.5000  0.0000  4 O 1.89
O  0.3072  0.8358  0.1430  1 Cu 1.89, 2 Fe 2.02
O  0.8358  0.1430  0.3072  1 Cu 1.89, 2 Fe 2.02
Fe  0.0000  0.5000  0.0000  6 O 2.02
Cu  0.0000  0.5000  0.5000  4 O 1.89
O  0.8358  0.5286  0.6928  1 Cu 1.89, 2 Fe 2.02
Cu  0.5000  0.0000  0.5000  4 O 1.89
Fe  0.5000  0.5000  0.5000  6 O 2.02
O  0.3072  0.1642  0.4714  1 Cu 1.89, 2 Fe 2.02
O  0.1642  0.8570  0.6928  1 Cu 1.89, 2 Fe 2.02
Fe  0.5000  0.0000  0.0000  6 O 2.02
O  0.8570  0.6928  0.1642  1 Cu 1.89, 2 Fe 2.02
Fe  0.0000  0.0000  0.5000  6 O 2.02
O  0.5286  0.6928  0.8358  1 Cu 1.89, 2 Fe 2.02
Ho  0.0000  0.0000  0.0000  12 O 2.60
O  0.1430  0.3072  0.8358  1 Cu 1.89, 2 Fe 2.02
O  0.6928  0.1642  0.8570  1 Cu 1.89, 2 Fe 2.02
O  0.6928  0.8358  0.5286  1 Cu 1.89, 2 Fe 2.02
O  0.1642  0.4714  0.3072  1 Cu 1.89, 2 Fe 2.02
O  0.4714  0.3072  0.1642  1 Cu 1.89, 2 Fe 2.02

## Properties
M_tot   19.86 μB/cell
Symmetry   No. 204
E   -6.2880 eV/atom
ρ   6.167 Mg/m³
Formation enthalpy at 0 K   -1.645 eV per atom
Calculated volume   10.38 Å³/atom



Record 3
The following is a DFT calculation (PBE+U) of a geometry-optimized MgMn6O8F4 structure.

a b c (Å): 5.2834 7.5572 5.7882
angles (deg): 97.03 83.54 93.12
Closest atoms and distances in Å follow each position.
Positions (direct):
O  0.3661  0.2327  0.5593  3 Mn 1.93-1.99
O  0.1731  0.9189  0.6814  3 Mn 1.94-2.03
Mn  0.9332  0.7246  0.6004  3 O 1.94-1.99, 1 F 2.08
F  0.1196  0.5685  0.3191  1 Mg 2.05, 1 Mn 2.08
F  0.6758  0.1007  0.8209  2 Mn 2.00-2.23
O  0.8408  0.7515  0.9413  3 Mn 1.97-2.08
O  0.6338  0.7594  0.4320  3 Mn 1.93-1.99
F  0.8802  0.4235  0.6721  1 Mg 2.05, 1 Mn 2.08
O  0.3538  0.5553  0.8685  2 Mn 1.90-1.93, 1 Mg 1.98
Mn  0.4875  0.3261  0.8540  4 O 1.90-2.08, 1 F 2.00
Mn  0.0000  0.9961  0.9957  4 O 1.98-1.99
O  0.8271  0.0731  0.3100  3 Mn 1.94-2.03
F  0.3245  0.8915  0.1700  2 Mn 2.00-2.23
Mn  0.5125  0.6661  0.1372  4 O 1.90-2.08, 1 F 2.00
Mn  0.0668  0.2676  0.3908  3 O 1.94-1.99, 1 F 2.08
O  0.6461  0.4368  0.1227  2 Mn 1.90-1.93, 1 Mg 1.98
Mg  0.9999  0.4960  0.9956  2 O 1.98, 2 F 2.05
Mn  0.5000  0.9961  0.4956  4 O 1.94-2.03
O  0.1592  0.2406  0.0499  3 Mn 1.97-2.08

## Properties
Offset from the most stable computed form   46 meV/atom
M_tot   24.00 μB/cell
Symmetry   No. 2
E   -6.8181 eV/atom
ρ   4.068 Mg/m³
Formation enthalpy at 0 K   -2.267 eV per atom
Calculated volume   11.99 Å³/atom